52
Lattice="-0.8939 -5.0301 -11.9290 -1.0578 -7.7382 10.3635 -4.7747 0.7234 0.0528" Properties=species:S:1:pos:R:3 comment="Ni3Se2O8 | Materials Project | PBE+U | relaxed" crystal_system=orthorhombic pbc="T T T"
Ni -5.8052 -6.9245 -1.7307
Ni -5.1011 -2.0734 -4.3010
Ni -5.8324 -6.6889 -7.2722
Ni -5.2899 -3.1397 -6.8370
Ni -5.3945 -4.2382 -1.4013
Ni -6.0576 -8.3307 -5.0682
Ni -3.0195 -4.8026 0.2412
Ni -3.7284 -9.6528 2.8116
Ni -2.9955 -5.0376 5.7828
Ni -3.5380 -8.5868 5.3476
Ni -3.4301 -7.4889 -0.0882
Ni -2.7719 -3.3956 3.5788
Se -1.1139 -7.3293 7.0988
Se -0.5228 -2.9971 1.2840
Se -1.6150 -10.1422 0.4080
Se -3.3853 -5.0530 -8.6360
Se -3.9784 -9.3850 -2.8213
Se -2.8862 -2.2399 -1.9453
Se -5.3259 -5.2726 -4.4259
Se -2.9928 -6.5311 2.9308
O -2.2687 -6.9958 5.8181
O -1.8680 -4.0037 1.8045
O -2.6220 -8.9369 1.1997
O -4.5592 -5.0337 -7.3296
O -4.9760 -8.0234 -3.3159
O -4.2219 -3.0902 -2.7110
O -3.0206 -9.6688 -4.2477
O -2.0505 -3.5355 -1.1425
O -2.1901 -3.9290 -8.0598
O -2.5956 -6.5819 -8.3851
O -1.8365 -1.9222 -3.2980
O -2.8278 -8.6208 -1.7660
O -4.2680 -2.2910 2.7413
O -5.2253 -8.4262 -0.3641
O -5.0926 -8.0317 6.5533
O -4.6871 -5.3788 6.8786
O -5.4521 -10.0375 1.7915
O -4.4479 -3.3409 0.2594
O -3.8565 -6.2179 1.4528
O -4.0507 -7.7698 3.5411
O -3.6605 -5.2167 3.8541
O -1.4367 -6.0442 -2.9813
O -1.2077 -4.4975 -5.0700
O -1.5980 -7.0506 -5.3830
O -1.7577 -6.3200 -0.3311
O -2.2960 -9.8317 4.2798
O -1.4043 -3.9984 4.9949
O -4.1386 -5.8507 -1.1907
O -3.7121 -2.3221 -5.8004
O -4.6038 -8.1554 -6.5155
O -1.4261 -4.9495 -11.9226
O -3.9773 -7.2958 10.3953

14
Lattice="-1.9178 3.3343 0.3981 -0.5412 0.1657 -3.9948 -10.8098 -6.3608 1.2006" Properties=species:S:1:pos:R:3 comment="Ba2LiSmCoCu2O7 | Materials Project | PBE+U | relaxed" crystal_system=orthorhombic pbc="T T T"
Ba -3.2882 0.5386 -1.5697
Ba -9.5264 -3.1322 -0.8768
Li -10.9888 -4.2348 1.3131
Sm -6.4616 -1.3288 -1.2172
Co -0.2895 -0.1704 0.0322
Cu -3.8992 -2.2944 0.4331
Cu -6.6162 -3.8932 0.7348
O -5.0679 -0.7507 0.6554
O -7.6652 -2.2791 0.9439
O -1.8217 -1.0720 0.2023
O -9.4518 -5.5617 1.0498
O -4.3011 -2.2888 -1.5497
O -6.9072 -3.8223 -1.2603
O -0.5147 -0.0608 -1.9703

32
Lattice="2.8722 5.1669 0.0000 -2.8722 5.1669 0.0000 0.0000 1.4810 9.6033" Properties=species:S:1:pos:R:3 comment="Li9Mn2Co5O16 | Materials Project | PBE+U | relaxed" crystal_system=monoclinic pbc="T T T"
Li 1.4100 5.0285 7.0538
Li 1.4100 6.7864 2.5495
Li -1.4100 5.0285 7.0538
Li 0.0000 2.3983 7.0881
Li 0.0000 4.2847 2.5307
Li 0.0000 7.5302 7.0726
Li 0.0000 9.4166 2.5151
Li -1.4100 6.7864 2.5495
Li 0.0000 5.9075 4.8016
Mn 0.0000 2.5836 0.0038
Mn 0.0000 9.2313 9.5994
Co 0.0000 0.7405 4.8016
Co 1.4331 5.1669 0.0000
Co -1.4361 3.3240 4.8016
Co -1.4331 5.1669 0.0000
Co 1.4361 3.3240 4.8016
O -1.4260 8.5086 8.4934
O 1.5323 5.0845 3.7243
O 1.4260 8.5086 8.4934
O 0.0000 11.0466 8.5703
O 0.0000 2.3560 3.7193
O 0.0000 5.8828 8.5317
O 0.0000 7.7594 3.7158
O -1.5323 5.0845 3.7243
O 1.5323 6.7304 5.8789
O -1.4260 3.3063 1.1098
O -1.5323 6.7304 5.8789
O 0.0000 4.0555 5.8875
O 0.0000 5.9321 1.0716
O 0.0000 9.4589 5.8840
O 0.0000 0.7683 1.0329
O 1.4260 3.3063 1.1098

10
Lattice="0.0000 -4.1806 -4.1806 4.1806 0.0000 -4.1806 4.1806 -4.1806 0.0000" Properties=species:S:1:pos:R:3 comment="BaSrCeCrO6 | Materials Project | PBE+U | relaxed" crystal_system=cubic pbc="T T T"
Ba 6.2709 -6.2709 -6.2709
Sr 2.0903 -2.0903 -2.0903
Ce 0.0000 0.0000 0.0000
Cr 4.1806 -4.1806 -4.1806
O 2.2218 -4.1806 -4.1806
O 6.1394 -4.1806 -4.1806
O 4.1806 -6.1394 -4.1806
O 4.1806 -2.2218 -4.1806
O 4.1806 -4.1806 -6.1394
O 4.1806 -4.1806 -2.2218

15
Lattice="5.6933 -0.0015 3.2858 1.8963 5.3682 3.2858 0.0000 0.0000 6.5716" Properties=species:S:1:pos:R:3 comment="Na4MgMo2O8 | Materials Project | PBE+U | relaxed" crystal_system=orthorhombic pbc="T T T"
Na 7.4441 5.2638 12.8971
Na 7.4441 5.2638 10.1036
Na 6.6373 3.0018 11.5004
Na 5.0426 5.2571 11.5004
Mg 0.9584 0.6777 1.6429
Mo 2.8519 2.0166 4.9287
Mo 4.7434 3.3541 8.2146
O 5.5921 3.9542 9.6842
O 1.8989 1.3427 6.5748
O 2.8490 4.0370 4.9287
O 4.7558 1.3404 4.9287
O 4.7438 1.5534 8.2146
O 3.0458 3.9547 8.2146
O 1.8989 1.3427 3.2826
O 5.5921 3.9542 6.7449

40
Lattice="7.0039 0.0000 0.0000 0.0000 7.7172 0.0000 0.0000 0.0000 11.9531" Properties=species:S:1:pos:R:3 comment="Cr2H2Pb4ClO10F | Materials Project | PBE+U | relaxed" crystal_system=orthorhombic pbc="T T T"
Cr 2.4719 3.8586 0.0248
Cr 2.4685 3.8586 5.9539
Cr 4.5354 0.0000 11.9304
Cr 4.5321 0.0000 6.0014
H 5.9137 6.1418 8.9766
H 5.9137 1.5754 8.9766
H 1.0902 5.4340 3.0000
H 1.0902 2.2832 3.0000
Pb 4.0648 5.7905 2.9921
Pb 4.0648 1.9267 2.9921
Pb 2.9391 5.7853 8.9686
Pb 2.9391 1.9319 8.9686
Pb 6.1385 3.8586 10.7452
Pb 6.1352 3.8586 7.1595
Pb 0.8687 0.0000 1.1830
Pb 0.8654 0.0000 4.7687
Cl 6.4652 3.8586 3.2203
Cl 0.5387 0.0000 9.1969
O 1.5283 5.1984 11.8228
O 1.5283 2.5187 11.8228
O 1.5297 5.2029 6.1193
O 1.5297 2.5143 6.1193
O 5.4743 6.3729 0.1427
O 5.4743 1.3443 0.1427
O 5.4757 6.3773 5.8463
O 5.4757 1.3399 5.8463
O 3.5605 3.8586 10.6606
O 3.5633 3.8586 7.2651
O 3.4406 0.0000 1.2885
O 3.4434 0.0000 4.6841
O 5.3745 5.3126 8.9614
O 5.3745 2.4045 8.9614
O 1.6294 6.2631 2.9849
O 1.6294 1.4541 2.9849
O 3.3119 3.8586 1.4847
O 3.3006 3.8586 4.4928
O 3.7034 0.0000 10.4693
O 3.6920 0.0000 7.4612
F 6.1032 0.0000 2.9905
F 0.9007 3.8586 8.9671

32
Lattice="5.7921 0.0000 0.0000 -2.8734 5.1702 0.0000 -0.2475 -1.5198 9.5724" Properties=species:S:1:pos:R:3 comment="Li9Mn2Co5O16 | Materials Project | PBE+U | relaxed" crystal_system=triclinic pbc="T T T"
Li 2.7023 0.1269 7.2481
Li -0.1915 0.1410 7.2069
Li 1.4594 2.5851 0.0000
Li -1.4367 2.5851 0.0000
Li -0.0311 3.5235 2.3243
Li 2.8627 3.5093 2.3656
Li -1.5423 4.3872 4.7644
Li 4.2134 -0.7369 4.8080
Li 2.8961 0.0000 0.0000
Mn 1.2731 2.7301 7.2116
Mn 1.3981 0.9202 2.3608
Co -1.6024 2.7662 7.2635
Co 0.0000 0.0000 0.0000
Co 4.2736 0.8842 2.3090
Co -0.1384 1.8490 4.7503
Co 2.8095 1.8013 4.8222
O -0.0864 3.5041 6.0501
O 2.7117 3.4494 6.0501
O 1.1029 -0.8329 8.4182
O 4.1893 -0.8862 8.3220
O 0.0305 1.7583 1.2840
O 2.8459 1.7023 1.3410
O -1.4792 2.6008 3.6645
O 1.4317 2.5059 3.5802
O 2.6406 1.8921 8.2884
O -0.1747 1.9480 8.2315
O 1.5683 4.4833 1.1542
O -1.5181 4.5365 1.2505
O 2.7576 0.1463 3.5224
O -0.0405 0.2010 3.5223
O 1.2394 1.1444 5.9923
O 4.1504 1.0495 5.9079

25
Lattice="4.8423 -0.2453 -5.1727 -0.1452 5.6317 0.1474 4.6454 0.0205 5.0080" Properties=species:S:1:pos:R:3 comment="MgMn8O13F3 | Materials Project | PBE+U | relaxed" crystal_system=triclinic pbc="T T T"
Mg 4.4518 3.1399 1.4379
Mn 2.2607 1.8604 -1.1644
Mn 1.9256 4.4032 1.2443
Mn 4.6140 0.7430 -3.8003
Mn 4.9634 0.4308 1.1748
Mn 4.5935 4.7293 3.9048
Mn 4.5411 4.6860 -1.2363
Mn 7.0483 3.3564 1.2369
Mn 7.0629 1.8310 -1.3193
O 1.0859 0.4999 -0.2202
O 1.1973 3.4095 -0.2536
O 3.4078 3.2199 -2.0695
O 3.2810 3.4769 2.9960
O 3.6500 4.6974 0.4729
O 3.8420 0.4449 2.7270
O 3.5726 0.4607 -2.1289
O 5.7564 4.6209 2.1056
O 5.8463 0.4198 -0.5222
O 5.5021 4.9390 -2.8087
O 5.9415 1.9307 2.0132
O 5.8003 3.2856 -0.2720
O 8.1020 2.0244 0.3090
F 3.5542 1.7392 0.4905
F 6.0454 2.0345 -2.9587
F 8.0933 4.7332 0.4072

10
Lattice="2.6842 -0.0228 -5.1888 4.9008 0.0035 5.9090 0.3640 -8.0934 -0.2543" Properties=species:S:1:pos:R:3 comment="Zr3FeF6 | Materials Project | PBE+U | relaxed" crystal_system=triclinic pbc="T T T"
Zr 0.1820 -4.0467 -0.1272
Zr 3.7925 -0.0097 0.3601
Zr 2.4504 0.0017 2.9545
Fe 0.0000 0.0000 0.0000
F 3.7197 -8.1068 -3.4954
F 4.2292 -0.0060 3.9613
F 7.5616 -6.0680 0.6173
F 0.3874 -2.0447 -0.1514
F 5.5746 -0.3113 1.2957
F 2.3744 -7.8014 -0.8298

20
Lattice="5.2251 0.1424 -5.6803 -6.2307 3.9132 -2.3350 2.9251 3.2374 6.3679" Properties=species:S:1:pos:R:3 comment="LuV2O2 | Materials Project | PBE+U | relaxed" crystal_system=tetragonal pbc="T T T"
Lu 4.5244 1.4231 -3.6701
Lu 2.8716 4.9984 -1.6537
Lu 1.9119 1.3519 -0.8300
Lu 5.9870 3.0418 -0.4862
V 3.4738 3.0107 0.9788
V -1.5757 4.3689 -2.7972
V 0.7041 5.7185 0.1481
V -0.8312 2.2482 -1.1978
V 3.2750 2.9305 3.7290
V 0.6912 3.6888 -5.9741
V -0.1859 4.1359 2.2247
V 2.1269 3.0706 -3.7012
O 2.7572 4.8490 0.4372
O -1.1672 3.7733 -4.7115
O -0.8370 5.7647 -1.1969
O -1.2397 2.8438 0.7165
O -2.2390 5.0055 1.9356
O -3.3009 4.7430 -1.4048
O 1.3552 4.0897 3.5698
O 0.8939 1.8741 -2.5902

Crystalline Li6MnO3F3 at its relaxed geometry. Source: Materials Project, functional PBE+U.

Geometry as extended XYZ:
```
52
Lattice="4.0515 2.3257 -4.8722 -8.2561 4.7775 -2.5025 -0.0076 9.5709 2.5584" Properties=species:S:1:pos:R:3 pbc="T T T"
Li -6.6024 11.9894 0.1086
Li -2.4706 4.8153 0.0803
Li -5.3030 5.2408 -2.3387
Li -1.1789 7.6374 0.1915
Li -2.8728 4.7988 -2.3671
Li 1.2510 7.1950 0.1634
Li -3.1248 9.7942 -0.0701
Li -7.2490 7.3975 -2.6005
Li -2.6089 4.8805 -4.8095
Li 1.5151 7.2771 -2.2792
Li -2.6163 9.4833 -2.3955
Li 1.5161 2.3088 -2.4239
Li -1.6676 7.1395 -2.2939
Li -5.7991 14.3143 -2.2661
Li -1.5607 11.7191 -0.0356
Li -5.6849 9.3224 -2.5661
Li -1.0160 6.8136 -4.7535
Li 3.1083 9.2107 -2.2232
Li -1.3733 11.9269 -2.4817
Li 2.7592 4.7527 -2.5099
Li 1.0528 11.4588 -2.5029
Li -3.0717 9.0620 -5.0334
Li 2.3149 4.6683 -4.8220
Li -1.8172 11.8423 -4.7937
Mn -8.1564 4.8535 -2.5966
Mn -4.0689 11.9975 -2.4924
Mn -4.0338 7.2497 -0.0665
Mn 0.0605 4.8228 -2.5198
O -3.9110 5.5763 -0.9840
O 0.2137 7.9733 1.5466
O -2.6600 8.1436 -0.9949
O -6.7833 5.7477 -3.5256
O -2.7441 12.9172 -3.4800
O 1.3879 5.7432 -3.5085
O -2.7665 11.1485 -1.4003
O 1.3650 3.9746 -1.4285
O -1.4610 5.5500 -3.3975
O -5.5924 12.7244 -3.3698
O -0.2975 11.0980 -3.8310
O -4.4218 8.7015 -6.3618
F -4.1822 4.4347 -3.7113
F -0.0580 6.8312 -1.1810
F -2.2779 6.2545 -6.1251
F 1.8463 8.6510 -3.5946
F -1.9348 10.4348 1.3631
F -6.0591 8.0379 -1.1673
F -1.5256 3.7261 -1.3785
F -5.6575 10.9003 -1.3507
F -1.5971 8.5250 -3.8263
F 2.5272 10.9220 -1.2956
F -0.0126 12.2186 -1.0749
F -4.1368 9.8219 -3.6054
```

Calculated MP2020-corrected energy in order - -310.40, -88.96, -204.48, -79.03, -95.66, -255.79, -208.81, -195.84, -65.12, -152.54, -295.36 eV/cell
Calculated VASP energy in order - -4.96, -5.89, -5.69, -7.29, -5.58, -5.83, -5.82, -6.89, -6.01, -6.67, -5.29 eV per atom